A:
# Al2SiO5 (PBE-GGA, relaxed)
data_Al2SiO5
_chemical_formula_sum 'Al8 Si4 O20'
_cell_length_a 3.5665
_cell_length_b 9.2858
_cell_length_c 9.1711
_cell_angle_alpha 90.00
_cell_angle_beta 90.00
_cell_angle_gamma 90.00
_symmetry_space_group_name_H-M 'C m c m'
_symmetry_Int_Tables_number 63
_symmetry_space_group_name_Hall '-C 2c 2'
loop_
_atom_site_label
_atom_site_fract_x
_atom_site_fract_y
_atom_site_fract_z
Al1 0.0000 0.1353 0.0674
Si1 0.0000 0.1840 0.7500
O1 0.0000 0.0550 0.6178
O2 0.0000 0.2602 0.2500
O3 0.0000 0.3127 0.5900
# **Spin magnetization**: 0.000 μB per atom



B:
# Al2SiO5 (PBE-GGA, relaxed)
data_Al2SiO5
_chemical_formula_sum 'Al8 Si4 O20'
_cell_length_a 9.4968
_cell_length_b 4.7181
_cell_length_c 6.6998
_cell_angle_alpha 90.00
_cell_angle_beta 112.06
_cell_angle_gamma 90.00
_symmetry_space_group_name_H-M 'C 1 2/c 1'
_symmetry_Int_Tables_number 15
loop_
_symmetry_equiv_pos_as_xyz
'x,y,z'
'-x,-y,-z'
'-x,y,-z+1/2'
'x,-y,z+1/2'
'x+1/2,y+1/2,z'
'-x+1/2,-y+1/2,-z'
'-x+1/2,y+1/2,-z+1/2'
'x+1/2,-y+1/2,z+1/2'
loop_
_atom_site_label
_atom_site_fract_x
_atom_site_fract_y
_atom_site_fract_z
Al1 0.1333 0.0104 0.2271
Si1 0.0000 0.5000 0.0000
O1 0.0000 0.3115 0.7500
O2 0.0813 0.1744 0.4522
O3 0.1804 0.3572 0.1460
# **Spin magnetization**: 0.000 μB per atom



Which is the most stable structure? B is the most stable.



A:
# BaSrTbCeO6 (PBE-GGA, relaxed)
data_BaSrTbCeO6
_chemical_formula_sum 'Ba2 Sr2 Tb2 Ce2 O12'
_cell_length_a 6.1536
_cell_length_b 6.2429
_cell_length_c 8.7451
_cell_angle_alpha 90.06
_cell_angle_beta 90.02
_cell_angle_gamma 90.08
_symmetry_space_group_name_H-M 'P -1'
_symmetry_Int_Tables_number 2
loop_
_symmetry_equiv_pos_as_xyz
'x,y,z'
'-x,-y,-z'
loop_
_atom_site_label
_atom_site_fract_x
_atom_site_fract_y
_atom_site_fract_z
Ba1 0.0089 0.4650 0.2499
Sr1 0.4890 0.9597 0.2504
Tb1 0.0000 0.0000 0.0000
Tb2 0.5000 0.5000 0.5000
Ce1 0.0000 0.0000 0.5000
Ce2 0.5000 0.5000 0.0000
O1 0.0992 0.9829 0.7480
O2 0.2090 0.7151 0.4564
O3 0.2132 0.7096 0.0419
O4 0.2919 0.2045 0.4481
O5 0.2959 0.2089 0.0528
O6 0.4227 0.4549 0.7518
# **Spin magnetization**: 0.100 μB per atom



B:
# BaSrTbCeO6 (PBE-GGA, relaxed)
data_BaSrTbCeO6
_chemical_formula_sum 'Ba4 Sr4 Tb4 Ce4 O24'
_cell_length_a 8.8352
_cell_length_b 8.8352
_cell_length_c 8.8352
_cell_angle_alpha 90.00
_cell_angle_beta 90.00
_cell_angle_gamma 90.00
_symmetry_space_group_name_H-M 'F -4 3 m'
_symmetry_Int_Tables_number 216
_symmetry_space_group_name_Hall 'F -4 2 3'
loop_
_atom_site_label
_atom_site_fract_x
_atom_site_fract_y
_atom_site_fract_z
Ba1 0.0000 0.0000 0.0000
Sr1 0.0000 0.0000 0.5000
Tb1 0.2500 0.2500 0.2500
Ce1 0.2500 0.2500 0.7500
O1 0.0019 0.2500 0.7500
# **Spin magnetization**: 0.100 μB per atom



Which is the most stable structure? A is the most stable.